The following is a DFT calculation (PBE-GGA) of Dy2ZrS5 after structural relaxation.

The structure in extended XYZ format:
```
32
Lattice="11.5826 0.0000 0.0000 0.0000 7.7674 0.0000 0.0000 0.0000 7.2577" Properties=species:S:1:pos:R:3 pbc="T T T"
Dy 2.0729 0.0190 0.1566
Dy 2.0729 3.8647 0.1566
Dy 3.7184 3.9027 3.7855
Dy 3.7184 7.7484 3.7855
Dy 7.8642 0.0190 3.4722
Dy 7.8642 3.8647 3.4722
Dy 9.5097 3.9027 7.1010
Dy 9.5097 7.7484 7.1010
Zr 0.0811 5.8256 4.2046
Zr 5.7103 1.9419 0.5758
Zr 5.8724 5.8256 6.6819
Zr 11.5016 1.9419 3.0531
S 0.0301 5.8256 6.8986
S 1.0971 0.2942 4.7943
S 1.0971 3.5895 4.7943
S 2.1147 5.8256 2.4046
S 2.4193 1.9419 2.2367
S 3.3720 5.8256 5.8655
S 3.6766 1.9419 6.0334
S 4.6942 4.1779 1.1655
S 4.6942 7.4732 1.1655
S 5.7613 1.9419 3.2698
S 5.8214 5.8256 3.9879
S 6.8884 0.2942 6.0922
S 6.8884 3.5895 6.0922
S 7.9060 5.8256 1.2243
S 8.2106 1.9419 1.3922
S 9.1633 5.8256 5.0210
S 9.4679 1.9419 4.8531
S 10.4855 4.1779 2.4634
S 10.4855 7.4732 2.4634
S 11.5526 1.9419 0.3590
```


The following is a DFT calculation (PBE-GGA) of Na2TbCuCl6 after structural relaxation.

The structure in extended XYZ format:
```
10
Lattice="0.0000 5.1386 5.1386 5.1386 0.0000 5.1386 5.1386 5.1386 0.0000" Properties=species:S:1:pos:R:3 pbc="T T T"
Na 2.5693 2.5693 2.5693
Na 7.7080 7.7080 7.7080
Tb 0.0000 0.0000 0.0000
Cu 5.1386 5.1386 5.1386
Cl 5.1386 5.1386 2.6300
Cl 5.1386 2.6300 5.1386
Cl 7.6473 5.1386 5.1386
Cl 2.6300 5.1386 5.1386
Cl 5.1386 7.6473 5.1386
Cl 5.1386 5.1386 7.6473
```


The following is a DFT calculation (PBE-GGA) of Na4Ta3GaSi5SO24 after structural relaxation.

The structure in extended XYZ format:
```
114
Lattice="8.8998 0.0000 0.0000 4.4117 7.7418 0.0000 0.1413 0.2650 22.6366" Properties=species:S:1:pos:R:3 pbc="T T T"
Na 0.0000 0.0000 0.0000
Na 1.5697 2.7565 5.5557
Na 0.4774 0.4505 15.0545
Na 4.4099 3.2141 15.0105
Na 6.0894 5.4885 13.1141
Na 6.0490 5.4197 1.8960
Na 4.8973 3.0835 22.6354
Na 6.0726 0.3759 9.3253
Na 6.1064 0.4122 20.6595
Na 8.9470 5.2446 15.0150
Na 9.2950 5.5169 7.5238
Na 10.5596 2.9927 16.9696
Ta 1.6975 2.9351 8.9004
Ta 5.9834 5.5189 5.2315
Ta 6.0982 5.5659 16.5428
Ta 6.1543 5.6281 21.1921
Ta 6.1096 5.3975 9.8429
Ta 6.0234 0.3522 12.6942
Ta 6.1386 0.4284 17.4629
Ta 6.0893 0.1717 1.3992
Ta 10.5911 3.0358 20.2400
Ga 6.2264 0.3668 6.2303
Ga 10.5768 3.0913 13.6450
Ga 10.3853 2.6891 2.1792
Si 3.4855 5.5267 7.5526
Si 4.8142 7.8516 18.8597
Si 4.1781 2.9440 11.3633
Si 2.8554 0.5584 0.0176
Si 4.8344 3.3357 18.8747
Si 7.3633 7.7397 7.5197
Si 3.5114 0.4283 15.0830
Si 7.3249 3.1755 7.4791
Si 8.7109 5.5883 18.8446
Si 7.4219 2.6221 15.0330
Si 7.9293 2.8500 0.0291
Si 9.2433 5.1361 11.3402
Si 11.8128 5.9019 15.0690
Si 8.6549 0.3371 3.8087
Si 11.6713 4.9506 0.0560
S 4.7370 2.4853 3.7873
S 9.1961 5.7400 3.8024
S 9.2661 0.6863 11.3222
O 2.5500 4.1595 7.6913
O 1.0880 1.5703 19.0121
O 0.9435 1.2658 12.5521
O 2.6290 4.0173 1.3531
O 5.0912 6.9279 20.1837
O 4.4569 5.7154 8.8385
O 4.5519 5.7687 15.2267
O 5.0867 6.6640 3.9047
O 5.3738 7.0755 11.1563
O 2.1899 1.4271 7.7265
O 3.2235 3.2188 19.0012
O 5.4743 7.1192 17.5270
O 4.5399 5.4708 22.4731
O 2.1162 1.1624 1.2971
O 4.4284 5.1934 6.2392
O 3.3282 3.1729 12.7137
O 2.5470 1.7067 14.9080
O 3.2166 2.6788 10.0470
O 3.2862 2.6695 3.6247
O 2.7750 1.7790 21.3372
O 6.6134 6.9771 6.2323
O 5.0928 4.2588 17.5302
O 5.1252 4.2716 11.1432
O 6.7258 7.0843 22.4412
O 7.0343 6.7923 15.2193
O 5.4937 4.0671 20.1837
O 5.4158 3.8391 3.8707
O 7.0800 6.7535 8.8029
O 4.9940 1.6629 4.9640
O 4.5072 0.6845 16.3490
O 4.4868 0.4428 0.2182
O 5.1757 1.6235 11.4650
O 5.3323 1.8396 2.5310
O 6.7029 4.1014 15.2244
O 7.7305 5.8340 20.1321
O 6.6874 3.9569 8.8009
O 8.9003 7.8181 13.7965
O 5.5284 1.8796 18.6941
O 7.6900 5.6258 3.8576
O 8.9501 7.7916 7.2732
O 6.9932 4.3335 22.4624
O 7.6190 5.3713 11.1374
O 7.0923 4.2123 6.2160
O 7.7587 5.3550 17.5146
O 6.6516 1.9005 13.7792
O 6.6235 1.7503 7.4331
O 9.4265 6.6189 2.5687
O 9.6068 6.9274 18.6916
O 6.9277 1.4951 0.2100
O 9.7310 6.3795 4.9904
O 9.9425 6.6385 11.4679
O 7.1527 1.6806 16.3483
O 8.7772 3.1245 1.3386
O 9.4334 4.2727 12.6932
O 8.9507 3.1275 7.7361
O 9.6200 4.2601 19.0095
O 9.8114 4.4179 3.6143
O 11.1185 6.6390 16.3559
O 11.0688 6.5099 0.1907
O 9.8764 4.4121 9.9980
O 7.6538 0.4938 5.0462
O 8.9631 2.7228 21.3519
O 7.7775 0.5579 11.4313
O 9.0305 2.7586 14.9172
O 11.3311 6.7203 7.3886
O 7.6904 0.2292 18.6891
O 7.6684 0.0434 2.4546
O 11.5889 6.8894 13.7823
O 11.1650 4.5660 21.3390
O 9.4938 1.5253 10.1204
O 11.1619 4.4214 14.9976
O 9.6144 1.6343 3.6172
```


4
Lattice="-2.4466 2.4466 5.4177 2.4466 -2.4466 5.4177 2.4466 2.4466 -5.4177" Properties=species:S:1:pos:R:3 comment="PBE-GGA Pm3I, relaxed" polymorph_energy_mev_per_atom=3 pbc="T T T"
Pm 0.0000 0.0000 0.0000
Pm 2.4466 0.0000 2.7089
Pm 0.0000 2.4466 2.7089
I 0.0000 0.0000 5.4177


The following is a DFT calculation (PBE-GGA) of Ta19Ni18Mo2 after structural relaxation.

The structure in extended XYZ format:
```
39
Lattice="4.9170 0.0000 0.0000 -2.4585 4.2583 0.0000 0.0000 0.0000 27.0705" Properties=species:S:1:pos:R:3 pbc="T T T"
Ta 0.0000 0.0000 0.0000
Ta 0.0000 0.0000 4.4524
Ta 0.0000 0.0000 9.3580
Ta 0.0000 0.0000 12.2074
Ta 0.0000 0.0000 14.8631
Ta 0.0000 0.0000 17.7125
Ta 0.0000 0.0000 22.6181
Ta 0.0000 2.8388 4.5782
Ta 0.0000 2.8388 13.4603
Ta 0.0000 2.8388 18.3823
Ta 0.0000 2.8388 21.2256
Ta 0.0000 2.8388 23.8831
Ta 0.0000 2.8388 26.7356
Ta 2.4585 1.4194 0.3349
Ta 2.4585 1.4194 3.1874
Ta 2.4585 1.4194 5.8449
Ta 2.4585 1.4194 8.6882
Ta 2.4585 1.4194 13.6102
Ta 2.4585 1.4194 22.4923
Ni -1.2180 2.1357 15.9377
Ni 0.0000 1.4067 6.9174
Ni -1.2403 3.5549 6.9174
Ni 0.0000 1.4431 2.1170
Ni -1.2088 3.5367 2.1170
Ni 1.2182 0.7033 20.1531
Ni 1.2497 0.7215 24.9535
Ni 1.2180 2.1357 15.9377
Ni 0.0000 4.2452 15.9377
Ni 2.4585 0.0131 11.1328
Ni 1.2406 2.1226 11.1328
Ni 1.2088 3.5367 2.1170
Ni 1.2403 3.5549 6.9174
Ni 3.6673 0.7215 24.9535
Ni 2.4585 2.8152 24.9535
Ni 3.6988 0.7033 20.1531
Ni 2.4585 2.8516 20.1531
Ni 3.6765 2.1226 11.1328
Mo 0.0000 2.8388 9.0249
Mo 2.4585 1.4194 18.0456
```


16
Lattice="4.9011 0.0000 0.0000 0.0000 6.2043 0.0000 0.0000 0.0000 10.7432" Properties=species:S:1:pos:R:3 comment="PBE-GGA Mg6CdMo, relaxed" polymorph_energy_mev_per_atom=0 pbc="T T T"
Mg 0.0000 4.7293 9.8064
Mo 2.4505 0.0000 8.9431
Mg 2.4505 1.5357 6.2609
Mg 2.4505 4.6686 6.2609
Cd 2.4505 0.0000 3.5857
Mg 2.4505 1.5665 0.8894
Mg 0.0000 1.4750 9.8064
Mg 0.0000 1.6271 4.4348
Mg 0.0000 3.1021 7.1695
Cd 2.4505 3.1021 8.9573
Mg 0.0000 4.5772 4.4348
Mg 0.0000 0.0000 7.2545
Mg 2.4505 4.6378 0.8894
Mo 2.4505 3.1021 3.5715
Mg 0.0000 0.0000 1.7980
Mg 0.0000 3.1021 1.8829


The following is a DFT calculation (PBE-GGA) of Li5Zn4B4O12 after structural relaxation.

The structure in extended XYZ format:
```
25
Lattice="5.1164 0.0000 0.0000 2.5434 4.4410 0.0000 0.1420 0.2184 11.5106" Properties=species:S:1:pos:R:3 pbc="T T T"
Li 0.0000 0.0000 0.0000
Li 0.1111 0.1786 4.2640
Li 5.0145 0.2772 9.3962
Li 6.9200 3.2363 7.0414
Li 6.8337 3.0371 2.2775
Zn 2.5948 1.7967 10.3323
Zn 1.7891 0.3574 7.2924
Zn 4.2211 1.7081 1.9634
Zn 5.0987 3.0948 4.8258
B 2.5866 1.6523 4.6241
B 1.7419 0.1807 1.8907
B 4.2913 1.8017 7.4527
B 5.1496 3.2708 10.4662
O 0.3315 0.1072 1.9493
O 1.9499 2.8920 4.5972
O 2.3333 1.3892 1.5619
O 1.8626 0.5211 5.0064
O 4.2907 4.3770 10.3081
O 2.9449 1.9117 7.7968
O 3.9343 1.5679 4.2679
O 5.0265 3.4831 2.1580
O 5.0215 2.9245 7.0409
O 4.6090 1.9784 10.6296
O 6.5392 3.4510 10.4617
O 4.9226 0.5597 7.5259
```


The following is a DFT calculation (PBE-GGA) of SbPt3 after structural relaxation.

The structure in extended XYZ format:
```
4
Lattice="-2.0242 2.0242 4.2098 2.0242 -2.0242 4.2098 2.0242 2.0242 -4.2098" Properties=species:S:1:pos:R:3 pbc="T T T"
Sb 0.0000 0.0000 0.0000
Pt 2.0242 0.0000 2.1049
Pt 0.0000 0.0000 4.2098
Pt 0.0000 2.0242 2.1049
```


The following is a DFT calculation (PBE-GGA) of EuB4Os4 after structural relaxation.

The structure in extended XYZ format:
```
18
Lattice="7.5866 0.0000 0.0000 0.0000 7.5866 0.0000 0.0000 0.0000 4.0356" Properties=species:S:1:pos:R:3 pbc="T T T"
Eu 1.8967 1.8967 1.0089
Eu 5.6900 5.6900 3.0267
B 0.2836 4.4269 0.5519
B 0.6336 7.3030 2.5697
B 3.1598 4.0770 2.5697
B 3.5097 6.9531 0.5519
B 4.0770 0.6336 3.4837
B 4.4269 3.5097 1.4659
B 6.9531 0.2836 1.4659
B 7.3030 3.1598 3.4837
Os 0.8022 6.5206 0.5445
Os 1.0661 4.5955 2.5623
Os 2.7272 6.7844 2.5623
Os 2.9911 4.8594 0.5445
Os 4.5955 2.7272 3.4911
Os 4.8594 0.8022 1.4733
Os 6.5206 2.9911 1.4733
Os 6.7844 1.0661 3.4911
```


The following is a DFT calculation (PBE-GGA) of NdAl3B4O12 after structural relaxation.

The structure in extended XYZ format:
```
40
Lattice="3.6654 -4.7163 0.0000 3.6654 4.7163 0.0000 -2.6368 0.0000 10.9389" Properties=species:S:1:pos:R:3 pbc="T T T"
Nd 1.6878 4.3716 8.2042
Nd 3.0062 -4.3716 2.7347
Al 2.0182 2.3561 5.1605
Al 3.9941 2.3561 0.3090
Al 3.0062 0.8352 2.7347
Al 1.6878 -0.8352 8.2042
Al 0.6998 -2.3561 10.6299
Al 2.6757 -2.3561 5.7784
B 0.1974 1.7526 8.5080
B 1.8296 0.2703 0.0622
B 0.5112 -0.2703 5.5316
B 1.5158 -1.7526 3.0385
B 3.1781 1.7526 7.9004
B 4.1828 0.2703 5.4073
B 2.8643 -0.2703 10.8767
B 4.4966 -1.7526 2.4309
O 2.8052 3.7919 0.6732
O 1.7182 2.2329 3.2271
O 0.5229 1.1261 5.4334
O 0.9339 2.4363 9.4365
O 3.2072 3.7919 4.7963
O 0.2923 0.4024 8.2887
O 2.7688 0.9644 0.8127
O 2.4416 2.4363 6.9718
O 1.6107 -0.4024 2.8193
O -0.7955 -1.1261 10.9028
O 4.2942 2.2329 2.2424
O 3.2435 0.9644 4.6568
O 1.4504 -0.9644 6.2821
O 0.3998 -2.2329 8.6965
O 5.4895 1.1261 0.0361
O 3.0832 0.4024 8.1196
O 2.2523 -2.4363 3.9671
O 1.9251 -0.9644 10.1263
O 4.4016 -0.4024 2.6502
O 1.4867 -3.7919 6.1426
O 3.7600 -2.4363 1.5024
O 4.1710 -1.1261 5.5055
O 2.9757 -2.2329 7.7119
O 1.8888 -3.7919 10.2657
```


The following is a DFT calculation (PBE-GGA) of Ho2AgRu after structural relaxation.

The structure in extended XYZ format:
```
4
Lattice="0.0000 3.4956 3.4956 3.4956 0.0000 3.4956 3.4956 3.4956 0.0000" Properties=species:S:1:pos:R:3 pbc="T T T"
Ho 1.7478 1.7478 1.7478
Ho 5.2434 5.2434 5.2434
Ag 0.0000 0.0000 0.0000
Ru 3.4956 3.4956 3.4956
```


The following is a DFT calculation (PBE-GGA) of Nd3Al12Os4 after structural relaxation.

The structure in extended XYZ format:
```
38
Lattice="8.9256 0.0000 0.0000 -4.4628 7.7298 0.0000 0.0000 0.0000 9.6903" Properties=species:S:1:pos:R:3 pbc="T T T"
Nd 0.0000 2.9762 2.4226
Nd -1.8854 6.2417 2.4226
Nd 2.5775 1.4881 7.2677
Nd 1.8854 6.2417 2.4226
Nd 6.3482 1.4881 7.2677
Nd 4.4628 4.7536 7.2677
Al 0.0000 0.0000 2.4226
Al 0.0000 0.0000 7.2677
Al -1.4103 4.3390 7.2677
Al 0.0000 2.5150 5.5673
Al 0.0000 2.5150 8.9682
Al -2.2847 6.4723 5.5673
Al -2.2847 6.4723 8.9682
Al 2.1781 1.2575 0.7221
Al 2.1781 1.2575 4.1231
Al 0.0000 5.1532 0.0931
Al 0.0000 5.1532 4.7520
Al 1.4103 4.3390 7.2677
Al 0.0000 6.7817 7.2677
Al 4.4628 0.9482 2.4226
Al 3.0525 3.3908 2.4226
Al 4.4628 2.5766 4.9383
Al 4.4628 2.5766 9.5972
Al 2.2847 6.4723 5.5673
Al 2.2847 6.4723 8.9682
Al 6.7475 1.2575 0.7221
Al 6.7475 1.2575 4.1231
Al 4.4628 5.2148 0.7221
Al 4.4628 5.2148 4.1231
Al 5.8731 3.3908 2.4226
Os 0.0000 0.0000 0.0000
Os 0.0000 0.0000 4.8452
Os -2.2314 3.8649 0.0000
Os -2.2314 3.8649 4.8452
Os 4.4628 0.0000 0.0000
Os 4.4628 0.0000 4.8452
Os 2.2314 3.8649 0.0000
Os 2.2314 3.8649 4.8452
```


Final energy per entry: -213.5 -38.0 -863.0 -16.2 -361.2 -39.9 -149.8 -22.8 -169.4 -317.1 -22.8 -230.0 eV/cell
E_form per entry: -2.18 -1.92 -2.90 -0.21 -0.26 0.18 -2.29 -0.11 -0.31 -3.24 -0.38 -0.57 eV/atom